Record 1
{"formula": "Li2TiCo3O8", "functional": "PBE with a Hubbard U", "state": "optimized geometry", "lattice": [[-1.7026, -5.2254, -1.7543], [3.9295, -3.9538, -1.3980], [0.3370, -2.8834, 8.9045]], "species": ["Li", "Li", "Li", "Li", "Ti", "Ti", "Co", "Co", "Co", "Co", "Co", "Co", "O", "O", "O", "O", "O", "O", "O", "O", "O", "O", "O", "O", "O", "O", "O", "O"], "frac_coords": [[0.6740, 0.6644, 0.8893], [0.3269, 0.3348, 0.3994], [0.0049, 0.9996, 0.9950], [0.9952, 0.0011, 0.4958], [0.6435, 0.6825, 0.5001], [0.3325, 0.3344, 0.9935], [0.3452, 0.8227, 0.2162], [0.1695, 0.6599, 0.7152], [0.1687, 0.1708, 0.7143], [0.8408, 0.3407, 0.2190], [0.6582, 0.1712, 0.7150], [0.8288, 0.8323, 0.2121], [0.3260, 0.8364, 0.6017], [0.1894, 0.6577, 0.0912], [0.5050, 0.5293, 0.3399], [0.4892, 0.4733, 0.8319], [0.6478, 0.6856, 0.1092], [0.3305, 0.3360, 0.6119], [0.0202, 0.9785, 0.3041], [0.0002, 0.9993, 0.8059], [0.8251, 0.3310, 0.5989], [0.6781, 0.1605, 0.0974], [0.5002, 0.9628, 0.3448], [0.0460, 0.4750, 0.8361], [0.9587, 0.5238, 0.3403], [0.4872, 0.0380, 0.8314], [0.1828, 0.1557, 0.0973], [0.8249, 0.8428, 0.6010]], "polymorph_energy_mev_per_atom": 47.3, "space_group": "No. 1"}

***

Record 2
{"formula": "Li2MnCr3O8", "functional": "PBE with a Hubbard U", "state": "optimized geometry", "lattice": [[-3.1452, -5.6716, 5.1906], [7.2619, -4.0332, -0.0068], [2.5249, 4.5351, 6.4853]], "species": ["Li", "Li", "Li", "Li", "Li", "Li", "Li", "Li", "Mn", "Mn", "Mn", "Mn", "Cr", "Cr", "Cr", "Cr", "Cr", "Cr", "Cr", "Cr", "Cr", "Cr", "Cr", "Cr", "O", "O", "O", "O", "O", "O", "O", "O", "O", "O", "O", "O", "O", "O", "O", "O", "O", "O", "O", "O", "O", "O", "O", "O", "O", "O", "O", "O", "O", "O", "O", "O"], "frac_coords": [[0.0005, 0.0005, 0.0005], [0.2495, 0.2495, 0.2495], [0.2505, 0.7505, 0.7495], [0.4995, 0.9995, 0.5005], [0.5005, 0.4995, 0.9995], [0.7495, 0.2505, 0.7505], [0.7505, 0.7495, 0.2505], [0.9995, 0.5005, 0.4995], [0.1250, 0.8750, 0.3750], [0.3750, 0.1250, 0.8750], [0.6250, 0.6250, 0.6250], [0.8750, 0.3750, 0.1250], [0.1255, 0.1245, 0.6250], [0.1250, 0.3745, 0.8755], [0.1245, 0.6250, 0.1255], [0.3755, 0.3750, 0.6255], [0.3750, 0.6255, 0.3755], [0.3745, 0.8755, 0.1250], [0.6255, 0.3755, 0.3750], [0.6250, 0.1255, 0.1245], [0.6245, 0.8750, 0.8745], [0.8755, 0.1250, 0.3745], [0.8750, 0.8745, 0.6245], [0.8745, 0.6245, 0.8750], [0.1138, 0.1078, 0.3898], [0.1102, 0.8862, 0.6078], [0.1123, 0.6123, 0.8877], [0.1422, 0.1362, 0.8602], [0.1078, 0.3898, 0.1138], [0.1377, 0.3623, 0.6377], [0.1398, 0.6422, 0.3638], [0.1362, 0.8602, 0.1422], [0.3638, 0.1398, 0.6422], [0.3602, 0.3578, 0.8638], [0.3623, 0.6377, 0.1377], [0.3922, 0.6102, 0.6138], [0.3578, 0.8638, 0.3602], [0.3877, 0.3877, 0.3877], [0.3898, 0.1138, 0.1078], [0.3862, 0.8922, 0.8898], [0.6138, 0.3922, 0.6102], [0.6102, 0.6138, 0.3922], [0.6123, 0.8877, 0.1123], [0.6422, 0.3638, 0.1398], [0.6078, 0.1102, 0.8862], [0.6377, 0.1377, 0.3623], [0.6398, 0.8578, 0.6362], [0.6362, 0.6398, 0.8578], [0.8638, 0.3602, 0.3578], [0.8602, 0.1422, 0.1362], [0.8623, 0.8623, 0.8623], [0.8922, 0.8898, 0.3862], [0.8578, 0.6362, 0.6398], [0.8877, 0.1123, 0.6123], [0.8898, 0.3862, 0.8922], [0.8862, 0.6078, 0.1102]], "polymorph_energy_mev_per_atom": 24.7, "space_group": "No. 212"}

***

Record 3
{"formula": "Li6Fe2PC4O16", "functional": "PBE with a Hubbard U", "state": "optimized geometry", "lattice": [[-7.2950, -0.6051, -5.9781], [4.7013, -6.4150, -5.1055], [-3.9330, -8.3905, -1.7953]], "species": ["Li", "Li", "Li", "Li", "Li", "Li", "Li", "Li", "Li", "Li", "Li", "Li", "Fe", "Fe", "Fe", "Fe", "P", "P", "C", "C", "C", "C", "C", "C", "C", "C", "O", "O", "O", "O", "O", "O", "O", "O", "O", "O", "O", "O", "O", "O", "O", "O", "O", "O", "O", "O", "O", "O", "O", "O", "O", "O", "O", "O", "O", "O", "O", "O"], "frac_coords": [[0.8217, 0.1783, 0.7500], [0.4295, 0.1773, 0.7481], [0.8232, 0.5704, 0.3548], [0.4296, 0.1768, 0.1452], [0.5735, 0.4265, 0.2500], [0.1773, 0.4295, 0.2481], [0.8227, 0.5705, 0.7519], [0.4265, 0.5735, 0.7500], [0.1768, 0.4296, 0.6452], [0.5704, 0.8232, 0.8548], [0.1783, 0.8217, 0.2500], [0.5705, 0.8227, 0.2519], [0.0000, 0.0000, 0.0000], [0.0000, 0.0000, 0.5000], [0.5000, 0.0000, 0.5000], [0.0000, 0.5000, 0.0000], [0.3755, 0.6245, 0.2500], [0.6245, 0.3755, 0.7500], [0.2204, 0.1637, 0.5595], [0.2198, 0.7768, 0.9460], [0.8363, 0.7796, 0.9405], [0.2232, 0.7802, 0.5540], [0.7768, 0.2198, 0.4460], [0.1637, 0.2204, 0.0595], [0.7802, 0.2232, 0.0540], [0.7796, 0.8363, 0.4405], [0.4422, 0.8258, 0.1156], [0.4427, 0.5581, 0.3836], [0.1742, 0.5578, 0.3844], [0.4419, 0.5573, 0.1164], [0.0868, 0.1590, 0.7067], [0.3642, 0.1739, 0.5408], [0.2045, 0.9125, 0.9528], [0.2037, 0.1601, 0.4318], [0.8399, 0.7963, 0.0682], [0.8410, 0.9132, 0.7933], [0.3641, 0.7871, 0.8085], [0.0903, 0.6349, 0.0814], [0.3651, 0.9097, 0.4186], [0.8261, 0.6358, 0.9592], [0.0875, 0.7955, 0.5472], [0.7871, 0.3641, 0.3085], [0.2129, 0.6359, 0.6915], [0.9125, 0.2045, 0.4528], [0.1739, 0.3642, 0.0408], [0.6349, 0.0903, 0.5814], [0.9097, 0.3651, 0.9186], [0.6359, 0.2129, 0.1915], [0.1590, 0.0868, 0.2067], [0.1601, 0.2037, 0.9318], [0.7963, 0.8399, 0.5682], [0.7955, 0.0875, 0.0472], [0.6358, 0.8261, 0.4592], [0.9132, 0.8410, 0.2933], [0.5581, 0.4427, 0.8836], [0.8258, 0.4422, 0.6156], [0.5573, 0.4419, 0.6164], [0.5578, 0.1742, 0.8844]], "space_group": "No. 15"}

***

Record 4
{"formula": "LiFe2OF5", "functional": "PBE with a Hubbard U", "state": "optimized geometry", "lattice": [[2.6112, -4.5227, 0.0000], [2.6112, 4.5227, 0.0000], [0.0000, 0.0000, 13.7267]], "species": ["Li", "Li", "Li", "Fe", "Fe", "Fe", "Fe", "Fe", "Fe", "O", "O", "O", "F", "F", "F", "F", "F", "F", "F", "F", "F", "F", "F", "F", "F", "F", "F"], "frac_coords": [[0.3107, 0.6431, 0.0047], [0.3569, 0.6676, 0.3380], [0.3324, 0.6893, 0.6714], [0.6495, 0.3133, 0.8288], [0.6867, 0.3362, 0.1622], [0.6638, 0.3505, 0.4955], [0.0024, 0.0191, 0.1621], [0.9809, 0.9833, 0.4954], [0.0167, 0.9976, 0.8288], [0.3324, 0.0168, 0.7598], [0.6844, 0.6676, 0.4265], [0.9832, 0.3156, 0.0931], [0.3452, 0.3104, 0.2436], [0.3336, 0.3190, 0.9124], [0.3194, 0.3006, 0.5755], [0.3326, 0.0138, 0.4238], [0.3337, 0.0165, 0.0894], [0.6994, 0.0188, 0.9089], [0.6896, 0.0347, 0.5769], [0.6810, 0.0146, 0.2457], [0.6812, 0.6674, 0.0905], [0.6828, 0.6663, 0.7561], [0.9862, 0.3188, 0.7572], [0.9835, 0.3172, 0.4227], [0.9653, 0.6548, 0.9103], [0.9812, 0.6806, 0.2422], [0.9854, 0.6664, 0.5791]], "polymorph_energy_mev_per_atom": 66.6, "space_group": "No. 144"}

***

The calculated formation energy results, record by record, are as follows: -2610 -3003 -5902 -2171 kJ/mol of formula units.
The total energy results, record by record, are as follows: -6.38 -7.11 -6.74 -5.37 eV per atom.